*w*
## LaNi5H6 (PBE)

Data for crystalline LaNi5H6 at its relaxed geometry.

The space group is P6mm (No. 183) and the conventional cell measures 5.4109, 5.4109 and 4.0692 Å, with angles of 90.00, 90.00 and 120.00 degrees. The inequivalent atoms are La at (0.0000, 0.0000, 0.0000), Ni at (0.0000, 0.5000, 0.6254), Ni at (0.3333, 0.6667, 0.1149) and H at (0.2045, 0.4091, 0.4116).


*x*
## LaNi5H6 (PBE)

Data for crystalline LaNi5H6 at its relaxed geometry.

The space group is P3m1 (No. 156) and the conventional cell measures 5.3014, 5.3014 and 4.2013 Å, with angles of 90.00, 90.00 and 120.00 degrees. The inequivalent atoms are La at (0.0000, 0.0000, 0.0000), Ni at (0.3333, 0.6667, 0.1533), Ni at (0.5101, 0.0202, 0.6033), Ni at (0.6667, 0.3333, 0.1201), H at (0.0081, 0.5041, 0.9908) and H at (0.1770, 0.3540, 0.4654).


It turns out *x* is the most stable, with the second structure 64 meV/atom higher.